[1]
18
Lattice="0.541 1.589 5.860 -5.570 1.447 2.008 -1.081 -6.895 1.969" Properties=species:S:1:pos:R:3 comment="PBE with a Hubbard U KNdV4O12, relaxed" dft_energy_ev_per_atom=-7.34 formation_energy_ev_per_atom=-2.530 spacegroup="Amm2, No. 38" pbc="T T T"
K -0.136 0.082 0.213
Nd -3.380 -1.733 5.428
V -0.762 -4.246 4.691
V -0.226 -0.825 3.714
V -3.225 -0.895 1.825
V -3.761 -4.316 2.801
O -1.639 -3.549 5.937
O -4.530 -3.616 4.116
O -4.051 -0.564 3.244
O -1.161 -0.496 5.065
O -4.492 -2.877 7.233
O -2.024 -4.448 3.375
O -1.481 -0.984 2.386
O -3.972 0.438 6.286
O 0.251 0.835 3.060
O -5.710 -1.289 5.706
O -2.896 0.761 1.077
O -2.642 -1.218 7.639

[2]
28
Lattice="5.605 0.000 0.000 0.000 6.466 0.000 0.000 0.000 11.236" Properties=species:S:1:pos:R:3 comment="PBE with a Hubbard U CaMo2O4, relaxed" dft_energy_ev_per_atom=-7.16 formation_energy_ev_per_atom=-2.260 de_polymorph_mev_per_atom=37 spacegroup="Pmmn, No. 59" pbc="T T T"
Ca 1.968 0.000 5.618
Ca 3.637 3.233 0.000
Ca 0.182 0.000 0.000
Ca 5.423 3.233 5.618
Mo 0.063 3.233 2.642
Mo 0.063 3.233 8.593
Mo 5.542 0.000 2.975
Mo 5.542 0.000 8.260
Mo 2.803 1.617 2.809
Mo 2.803 4.850 8.427
Mo 2.803 4.850 2.809
Mo 2.803 1.617 8.427
O 1.990 3.233 1.640
O 1.990 3.233 9.595
O 3.615 0.000 3.978
O 3.615 0.000 7.258
O 3.875 3.233 3.824
O 3.875 3.233 7.411
O 1.730 0.000 1.793
O 1.730 0.000 9.442
O 0.918 1.659 3.995
O 0.918 4.807 7.241
O 4.687 4.892 1.623
O 4.687 1.574 9.613
O 4.687 1.574 1.623
O 4.687 4.892 9.613
O 0.918 4.807 3.995
O 0.918 1.659 7.241

[3]
34
Lattice="-5.582 6.340 9.399 -6.518 -0.573 10.811 -0.326 2.571 12.368" Properties=species:S:1:pos:R:3 comment="PBE with a Hubbard U Ba2NaMn3F11, relaxed" dft_energy_ev_per_atom=-5.95 formation_energy_ev_per_atom=-3.381 spacegroup="R3c, No. 161" pbc="T T T"
Ba -8.558 5.742 22.435
Ba -2.344 1.573 6.146
Ba -3.854 2.586 10.104
Ba -10.067 6.755 26.393
Na -6.211 4.167 16.283
Na -12.424 8.336 32.572
Mn -6.056 1.616 13.700
Mn -6.219 5.052 12.758
Mn -3.244 3.745 14.228
Mn -6.176 3.224 19.818
Mn -9.233 4.590 18.302
Mn -6.324 6.768 18.854
F -7.135 4.787 18.704
F -0.921 0.618 2.415
F -5.349 3.589 14.024
F -11.563 7.758 30.313
F -6.560 4.090 21.666
F -9.779 4.607 20.305
F -7.488 7.290 20.492
F -6.552 1.658 15.716
F -7.391 5.518 14.408
F -3.670 4.641 16.051
F -5.843 4.330 10.846
F -2.557 3.673 12.268
F -5.003 0.989 12.022
F -5.876 6.575 16.834
F -5.086 2.864 18.085
F -8.654 3.722 16.505
F -4.289 3.149 7.396
F -1.515 2.700 8.569
F -3.492 0.389 8.406
F -4.254 5.896 13.281
F -3.663 1.616 14.602
F -7.592 2.894 12.776

[4]
28
Lattice="-5.994 0.883 -2.841 -2.141 -0.817 4.264 0.186 10.352 2.825" Properties=species:S:1:pos:R:3 comment="PBE with a Hubbard U Li2CrSnP2O8, relaxed" dft_energy_ev_per_atom=-6.77 formation_energy_ev_per_atom=-2.460 spacegroup="P2_1/m, No. 11" pbc="T T T"
Li 0.000 0.000 0.000
Li -2.997 0.442 -1.420
Li -0.978 4.767 3.545
Li -3.974 5.209 2.124
Cr -2.540 7.916 3.880
Cr -5.409 2.502 0.368
Sn -4.449 8.059 0.071
Sn -3.500 2.359 4.178
P -5.548 9.759 2.919
P -1.637 6.308 1.475
P -6.312 4.110 2.774
P -2.401 0.659 1.329
O -1.955 9.770 3.222
O -4.863 10.184 1.606
O -6.946 9.065 2.692
O -4.694 8.733 3.759
O -3.019 6.995 1.684
O -0.798 6.668 2.737
O -3.087 5.922 4.414
O -6.043 5.652 2.686
O -1.906 4.766 1.562
O -4.862 4.495 -0.166
O -7.150 3.750 1.511
O -4.930 3.423 2.564
O -3.254 1.684 0.489
O -1.003 1.353 1.556
O -3.085 0.234 2.642
O -5.994 0.648 1.027

[5]
11
Lattice="-3.698 -3.660 4.071 -2.859 2.859 -4.044 2.898 -2.898 -4.098" Properties=species:S:1:pos:R:3 comment="PBE with a Hubbard U Sr2MgZrCrO6, relaxed" dft_energy_ev_per_atom=-7.06 formation_energy_ev_per_atom=-2.814 de_polymorph_mev_per_atom=143 spacegroup="Immm, No. 71" pbc="T T T"
Sr 0.140 -2.758 -2.049
Sr -3.799 -0.940 -2.022
Mg -1.430 1.430 -2.022
Zr 0.019 -0.019 -4.071
Cr 0.000 0.000 0.000
O -0.004 0.004 -1.982
O 0.042 -0.042 -6.160
O -2.166 -2.166 0.000
O -1.494 -1.532 -4.071
O -1.458 1.458 -4.039
O 1.496 -1.496 -4.103

[6]
40
Lattice="-2.317 -2.024 -4.523 -0.881 -8.557 4.257 -8.478 -0.360 4.483" Properties=species:S:1:pos:R:3 comment="PBE with a Hubbard U Ca2TaCrO6, relaxed" dft_energy_ev_per_atom=-8.14 formation_energy_ev_per_atom=-3.234 pbc="T T T"
Ca -7.951 -3.367 5.483
Ca -4.153 -7.466 5.371
Ca -3.724 -7.574 -1.267
Ca -7.523 -3.475 -1.154
Ca -7.147 -6.372 3.246
Ca -2.468 -1.914 -1.124
Ca -4.528 -4.569 0.970
Ca -9.208 -9.027 5.340
Ta -0.881 -8.557 4.257
Ta -4.679 -4.459 4.370
Ta -10.077 -5.651 4.349
Ta -5.397 -1.192 -0.020
Cr -7.019 -6.688 6.555
Cr -3.938 -7.520 2.052
Cr -4.656 -4.253 -2.338
Cr -7.737 -3.421 2.164
O -3.184 -3.061 -3.048
O -7.864 -7.520 1.322
O -8.491 -7.880 7.265
O -3.812 -3.421 2.894
O -9.017 -4.820 2.868
O -5.219 -8.919 2.756
O -2.658 -6.121 1.348
O -6.457 -2.022 1.461
O -6.474 -3.891 3.681
O -2.675 -7.990 3.569
O -5.201 -7.050 0.535
O -9.000 -2.951 0.648
O -2.009 -3.479 0.621
O -6.688 -7.938 4.991
O -9.667 -7.462 3.595
O -4.987 -3.004 -0.775
O -8.578 -1.991 3.327
O -4.779 -6.089 3.215
O -3.097 -8.951 0.889
O -6.896 -4.852 1.002
O -8.412 -5.707 5.458
O -3.733 -1.249 1.088
O -3.263 -5.234 -1.242
O -7.942 -9.692 3.128

[7]
32
Lattice="2.949 0.000 0.000 1.156 9.711 0.000 0.368 0.755 10.086" Properties=species:S:1:pos:R:3 comment="PBE with a Hubbard U Li9Co7O16, relaxed" dft_energy_ev_per_atom=-5.53 formation_energy_ev_per_atom=-1.668 de_polymorph_mev_per_atom=88 spacegroup="P-1, No. 2" pbc="T T T"
Li 3.078 2.795 5.667
Li 1.395 7.671 4.419
Li 1.516 2.639 3.113
Li 2.808 7.439 1.925
Li 2.885 2.470 0.623
Li 1.589 7.997 9.463
Li 1.665 3.028 8.161
Li 2.957 7.827 6.973
Li 1.658 0.378 5.043
Co 4.373 10.272 7.490
Co 0.100 0.195 2.596
Co 1.547 5.331 6.303
Co 2.926 5.136 3.783
Co 1.360 4.953 1.258
Co 1.474 0.000 0.000
Co 3.114 5.513 8.828
O 1.605 1.621 6.695
O 2.919 6.397 5.418
O 3.047 1.395 3.869
O 1.357 6.184 2.901
O 1.402 1.226 1.508
O 2.737 6.015 0.374
O 3.259 1.744 9.044
O 1.551 6.561 7.952
O 1.554 4.070 4.669
O 2.869 8.845 3.391
O 2.922 3.905 2.134
O 1.214 8.723 1.042
O 1.736 4.452 9.713
O 3.072 9.241 8.579
O 3.116 4.283 7.186
O 1.426 9.071 6.218

[8]
14
Lattice="4.936 0.102 2.818 1.700 4.724 2.891 -0.057 0.047 5.737" Properties=species:S:1:pos:R:3 comment="PBE with a Hubbard U LiNi2O4, relaxed" dft_energy_ev_per_atom=-4.84 formation_energy_ev_per_atom=-1.210 de_polymorph_mev_per_atom=6 spacegroup="P-1, No. 2" pbc="T T T"
Li 0.787 0.552 1.420
Li 5.793 4.322 10.027
Ni 3.290 2.436 5.724
Ni 2.439 0.075 4.277
Ni 5.756 2.487 7.133
Ni 3.261 2.460 8.590
O 1.709 1.263 5.550
O 4.970 3.636 8.393
O 4.870 3.611 5.896
O 2.451 3.342 4.313
O 1.610 1.237 3.054
O 2.670 3.634 7.264
O 4.128 1.533 7.133
O 3.909 1.239 4.183

[9]
88
Lattice="-3.401 -7.096 -5.754 -5.562 3.462 7.263 -5.417 9.800 -8.817" Properties=species:S:1:pos:R:3 comment="PBE with a Hubbard U Li4V3P8O29, relaxed" dft_energy_ev_per_atom=-7.04 formation_energy_ev_per_atom=-2.575 de_polymorph_mev_per_atom=8 spacegroup="P1, No. 1" pbc="T T T"
Li -9.173 0.225 -4.278
Li -4.828 2.790 -4.047
Li -6.738 7.219 -9.493
Li -9.451 3.620 -11.811
Li -5.502 -0.810 -7.585
Li -9.713 8.716 -4.994
Li -13.930 6.152 -7.512
Li -2.747 4.934 -4.402
V -5.538 4.264 -9.074
V -3.290 -1.531 -5.469
V -7.876 -2.710 -3.842
V -6.473 8.825 -3.450
V -9.166 5.272 -5.780
V -5.260 0.819 -1.510
P -7.370 -1.567 -0.812
P -10.537 2.341 -6.064
P -5.882 5.017 -5.911
P -8.826 4.947 -9.097
P -6.150 0.042 -4.656
P -2.384 -0.392 -2.537
P -7.668 4.917 2.425
P -5.200 -4.152 -4.992
P -9.196 10.321 -2.270
P -6.666 1.227 -9.621
P -11.962 6.442 -4.740
P -8.279 6.137 -2.673
P -5.574 1.253 1.747
P -8.532 1.120 -1.364
P -3.826 3.745 -1.246
P -7.018 7.713 -6.419
O -9.358 1.237 -2.602
O -9.839 3.578 -5.421
O -12.786 4.681 -8.139
O -7.674 -2.534 -2.004
O -6.016 -0.852 -1.157
O -9.334 5.035 -7.599
O -7.378 4.621 -5.831
O -6.845 8.165 -7.819
O -3.539 0.156 -1.617
O -7.271 -0.895 -4.039
O -9.744 1.971 -7.356
O -5.355 0.647 -3.432
O -9.427 5.939 -10.021
O -6.785 1.115 -5.477
O -7.280 5.125 -8.987
O -6.163 -3.401 -4.004
O -9.125 3.467 -9.558
O -5.299 4.476 -7.240
O -7.417 4.374 3.933
O -3.000 2.651 -4.786
O -1.268 -0.940 -1.723
O -3.013 -1.336 -3.555
O -5.168 -0.850 -5.472
O -10.553 9.559 -2.264
O -6.239 2.469 -8.853
O -8.200 0.985 -9.360
O -8.553 9.963 -0.811
O -10.685 1.237 -5.083
O -6.753 -2.289 -7.934
O -6.243 5.289 1.909
O -8.207 3.717 1.615
O -3.955 -3.267 -5.184
O -9.304 7.069 -1.995
O -11.334 7.500 -3.796
O -7.703 3.332 -12.631
O -5.906 -0.028 -9.357
O -12.142 5.050 -3.923
O -9.174 1.860 -0.171
O -5.265 2.748 2.186
O -8.299 9.624 -3.344
O -7.089 1.146 1.591
O -4.936 0.262 2.657
O -7.629 5.119 -1.827
O -9.009 5.560 -3.954
O -4.606 4.242 0.003
O -7.215 7.169 -3.311
O -10.867 6.101 -5.798
O -8.504 -0.440 -0.929
O -7.448 -2.217 0.504
O -7.036 1.524 -1.501
O -4.981 1.177 0.279
O -8.405 7.116 -6.038
O -6.750 8.872 -5.400
O -4.896 -5.539 -4.576
O -2.547 2.940 -0.659
O -4.653 2.661 -1.987
O -5.030 4.617 -4.757
O -5.879 6.618 -6.060

[10]
28
Lattice="4.862 0.000 0.000 0.000 9.467 0.000 0.000 0.000 5.550" Properties=species:S:1:pos:R:3 comment="PBE with a Hubbard U LiVSiO4, relaxed" dft_energy_ev_per_atom=-7.29 formation_energy_ev_per_atom=-2.752 de_polymorph_mev_per_atom=87 spacegroup="Pnma, No. 62" pbc="T T T"
Li 0.279 5.777 1.388
Li 2.152 1.044 1.388
Li 2.710 8.423 4.163
Li 4.583 3.689 4.163
V 2.330 2.118 4.163
V 4.761 2.615 1.388
V 0.101 6.854 4.163
V 2.532 7.346 1.388
Si 0.000 0.000 0.000
Si 0.000 0.000 2.775
Si 2.431 4.733 2.776
Si 2.431 4.733 5.550
O 1.337 4.097 1.388
O 1.093 8.830 1.388
O 3.768 0.637 4.163
O 3.524 5.370 4.163
O 0.912 8.769 4.163
O 1.520 4.034 4.163
O 3.343 5.431 1.388
O 3.951 0.699 1.388
O 1.476 6.247 5.526
O 1.476 6.247 2.799
O 0.956 1.514 5.526
O 0.956 1.514 2.800
O 3.907 7.953 2.751
O 3.907 7.953 0.024
O 3.387 3.220 2.751
O 3.387 3.220 0.025

[11]
11
Lattice="-3.263 -0.493 -5.222 6.827 0.042 0.584 1.265 -4.761 3.954" Properties=species:S:1:pos:R:3 comment="PBE with a Hubbard U MgCoPb2WO6, relaxed" dft_energy_ev_per_atom=-6.06 formation_energy_ev_per_atom=-1.646 spacegroup="P-1, No. 2" pbc="T T T"
Mg 1.781 -0.226 -2.320
Co 0.784 -2.853 -2.952
Pb 0.095 -3.550 0.645
Pb 4.735 -1.662 -1.328
W 0.000 -0.001 -0.001
O 2.477 -3.496 2.832
O 4.538 -3.816 0.963
O 2.352 -1.716 -3.518
O 0.291 -1.396 -1.648
O -1.642 -1.035 -4.081
O 6.471 -4.177 3.397

[12]
24
Lattice="-3.379 5.011 -3.936 -1.326 -5.095 -5.138 -3.000 -1.591 6.648" Properties=species:S:1:pos:R:3 comment="PBE with a Hubbard U GdCuW2O8, relaxed" dft_energy_ev_per_atom=-8.13 formation_energy_ev_per_atom=-2.356 spacegroup="P-1, No. 2" pbc="T T T"
Gd -5.347 -0.448 -3.263
Gd -2.357 -1.228 0.836
Cu -1.988 -2.267 -4.217
Cu -5.717 0.592 1.791
W -4.473 -3.896 -1.229
W -3.232 2.221 -1.197
W -6.397 -1.427 -0.037
W -1.308 -0.248 -2.389
O -5.376 -2.245 -1.703
O -2.329 0.570 -0.724
O -2.768 -1.822 -6.069
O -4.937 0.146 3.642
O -4.142 -5.586 -0.270
O -3.563 3.911 -2.157
O -3.791 -4.366 -2.825
O -3.913 2.691 0.398
O -3.097 -3.148 -0.273
O -4.608 1.472 -2.154
O -4.364 0.361 -5.147
O -3.340 -2.036 2.721
O -6.967 -0.159 -1.251
O -0.738 -1.516 -1.176
O -2.951 -0.943 -2.979
O -4.754 -0.732 0.552

Please write out number 11 again, unchanged.
11
Lattice="-3.263 -0.493 -5.222 6.827 0.042 0.584 1.265 -4.761 3.954" Properties=species:S:1:pos:R:3 comment="PBE with a Hubbard U MgCoPb2WO6, relaxed" dft_energy_ev_per_atom=-6.06 formation_energy_ev_per_atom=-1.646 spacegroup="P-1, No. 2" pbc="T T T"
Mg 1.781 -0.226 -2.320
Co 0.784 -2.853 -2.952
Pb 0.095 -3.550 0.645
Pb 4.735 -1.662 -1.328
W 0.000 -0.001 -0.001
O 2.477 -3.496 2.832
O 4.538 -3.816 0.963
O 2.352 -1.716 -3.518
O 0.291 -1.396 -1.648
O -1.642 -1.035 -4.081
O 6.471 -4.177 3.397